Run A
First-principles (GGA+U) data for an optimized crystal structure of Co5RuO8, as listed in the Materials Project database.

- calculated density (g cm⁻³) = 5.66

Lattice parameters (Å, degrees): 5.973 6.037 24.664 83.49 89.96 60.57
Positions (direct):
1 Co 0.000 0.000 0.000
2 Co 0.000 0.000 0.500
3 Co 0.089 0.820 0.227
4 Co 0.101 0.295 0.300
5 Co 0.113 0.769 0.373
6 Co 0.198 0.599 0.599
7 Co 0.201 0.098 0.100
8 Co 0.285 0.428 0.826
9 Co 0.299 0.902 0.900
10 Co 0.312 0.376 0.973
11 Co 0.398 0.704 0.699
12 Co 0.402 0.196 0.200
13 Co 0.487 0.053 0.426
14 Co 0.500 0.500 0.500
15 Co 0.513 0.947 0.574
16 Co 0.598 0.804 0.800
17 Co 0.602 0.296 0.301
18 Co 0.688 0.624 0.027
19 Co 0.701 0.098 0.100
20 Co 0.715 0.572 0.174
21 Co 0.799 0.902 0.900
22 Co 0.802 0.401 0.401
23 Co 0.887 0.231 0.627
24 Co 0.899 0.705 0.700
25 Co 0.911 0.180 0.773
26 Ru 0.000 0.500 0.500
27 Ru 0.202 0.597 0.100
28 Ru 0.401 0.203 0.700
29 Ru 0.599 0.797 0.300
30 Ru 0.798 0.403 0.900
31 O 0.061 0.880 0.146
32 O 0.066 0.407 0.148
33 O 0.069 0.864 0.654
34 O 0.072 0.397 0.653
35 O 0.125 0.213 0.946
36 O 0.129 0.744 0.947
37 O 0.139 0.218 0.453
38 O 0.142 0.689 0.454
39 O 0.259 0.487 0.746
40 O 0.264 0.015 0.747
41 O 0.271 0.988 0.254
42 O 0.272 0.452 0.254
43 O 0.327 0.319 0.547
44 O 0.334 0.783 0.546
45 O 0.337 0.788 0.053
46 O 0.342 0.315 0.054
47 O 0.459 0.083 0.346
48 O 0.464 0.608 0.347
49 O 0.470 0.061 0.853
50 O 0.472 0.592 0.853
51 O 0.528 0.408 0.147
52 O 0.530 0.939 0.147
53 O 0.536 0.392 0.653
54 O 0.541 0.917 0.654
55 O 0.658 0.685 0.946
56 O 0.663 0.212 0.947
57 O 0.666 0.217 0.454
58 O 0.673 0.681 0.453
59 O 0.728 0.548 0.746
60 O 0.729 0.012 0.746
61 O 0.736 0.985 0.253
62 O 0.741 0.513 0.254
63 O 0.858 0.311 0.546
64 O 0.861 0.782 0.547
65 O 0.871 0.256 0.053
66 O 0.875 0.787 0.054
67 O 0.928 0.603 0.347
68 O 0.931 0.136 0.346
69 O 0.934 0.593 0.852
70 O 0.939 0.120 0.854



Run B
First-principles (GGA+U) data for an optimized crystal structure of Co5RuO8, as listed in the Materials Project database.

- calculated density (g cm⁻³) = 5.66

Lattice parameters (Å, degrees): 5.973 6.037 24.664 83.49 89.96 60.57
Positions (direct):
1 Co 0.000 0.000 0.000
2 Co 0.000 0.500 0.500
3 Co 0.089 0.047 0.227
4 Co 0.101 0.595 0.300
5 Co 0.113 0.142 0.373
6 Co 0.198 0.198 0.599
7 Co 0.201 0.198 0.100
8 Co 0.285 0.254 0.826
9 Co 0.299 0.802 0.900
10 Co 0.312 0.349 0.973
11 Co 0.398 0.404 0.699
12 Co 0.402 0.396 0.200
13 Co 0.487 0.479 0.426
14 Co 0.500 0.000 0.500
15 Co 0.513 0.521 0.574
16 Co 0.598 0.604 0.800
17 Co 0.602 0.596 0.301
18 Co 0.688 0.651 0.027
19 Co 0.701 0.198 0.100
20 Co 0.715 0.746 0.174
21 Co 0.799 0.802 0.900
22 Co 0.802 0.802 0.401
23 Co 0.887 0.858 0.627
24 Co 0.899 0.405 0.700
25 Co 0.911 0.953 0.773
26 Ru 0.000 0.000 0.500
27 Ru 0.202 0.697 0.100
28 Ru 0.401 0.903 0.700
29 Ru 0.599 0.097 0.300
30 Ru 0.798 0.303 0.900
31 O 0.061 0.026 0.146
32 O 0.066 0.555 0.148
33 O 0.069 0.517 0.654
34 O 0.072 0.050 0.653
35 O 0.125 0.159 0.946
36 O 0.129 0.691 0.947
37 O 0.139 0.671 0.453
38 O 0.142 0.142 0.454
39 O 0.259 0.233 0.746
40 O 0.264 0.762 0.747
41 O 0.271 0.242 0.254
42 O 0.272 0.706 0.254
43 O 0.327 0.866 0.547
44 O 0.334 0.329 0.546
45 O 0.337 0.841 0.053
46 O 0.342 0.369 0.054
47 O 0.459 0.428 0.346
48 O 0.464 0.955 0.347
49 O 0.470 0.914 0.853
50 O 0.472 0.445 0.853
51 O 0.528 0.555 0.147
52 O 0.530 0.086 0.147
53 O 0.536 0.045 0.653
54 O 0.541 0.572 0.654
55 O 0.658 0.631 0.946
56 O 0.663 0.159 0.947
57 O 0.666 0.671 0.454
58 O 0.673 0.134 0.453
59 O 0.728 0.294 0.746
60 O 0.729 0.758 0.746
61 O 0.736 0.238 0.253
62 O 0.741 0.767 0.254
63 O 0.858 0.858 0.546
64 O 0.861 0.329 0.547
65 O 0.871 0.309 0.053
66 O 0.875 0.841 0.054
67 O 0.928 0.950 0.347
68 O 0.931 0.483 0.346
69 O 0.934 0.445 0.852
70 O 0.939 0.974 0.854



Most stable: run A. Least stable: run B.



Run A
First-principles (GGA+U) data for an optimized crystal structure of CoSeO5, as listed in the Materials Project database.

- calculated density (g cm⁻³) = 3.91

Lattice parameters (Å, degrees): 5.441 5.441 7.021 104.96 104.96 102.18
Positions (direct):
1 Co 0.000 0.000 0.000
2 Co 0.000 0.000 0.500
3 Se 0.328 0.672 0.750
4 Se 0.672 0.328 0.250
5 O 0.052 0.948 0.250
6 O 0.115 0.675 0.887
7 O 0.254 0.366 0.577
8 O 0.325 0.885 0.613
9 O 0.366 0.254 0.077
10 O 0.634 0.746 0.923
11 O 0.675 0.115 0.387
12 O 0.746 0.634 0.423
13 O 0.885 0.325 0.113
14 O 0.948 0.052 0.750



Run B
First-principles (GGA+U) data for an optimized crystal structure of CoSeO5, as listed in the Materials Project database.

- calculated density (g cm⁻³) = 3.63

Lattice parameters (Å, degrees): 6.778 8.477 9.059 90.00 129.99 90.00
Positions (direct):
1 Co 0.184 0.153 0.027
2 Co 0.184 0.347 0.527
3 Co 0.816 0.653 0.473
4 Co 0.816 0.847 0.973
5 Se 0.225 0.628 0.318
6 Se 0.225 0.872 0.818
7 Se 0.775 0.128 0.182
8 Se 0.775 0.372 0.682
9 O 0.077 0.686 0.742
10 O 0.077 0.814 0.242
11 O 0.154 0.575 0.469
12 O 0.154 0.925 0.969
13 O 0.173 0.162 0.586
14 O 0.173 0.338 0.086
15 O 0.392 0.096 0.262
16 O 0.392 0.404 0.762
17 O 0.460 0.183 0.001
18 O 0.460 0.317 0.501
19 O 0.540 0.683 0.499
20 O 0.540 0.817 0.999
21 O 0.608 0.596 0.238
22 O 0.608 0.904 0.738
23 O 0.827 0.662 0.914
24 O 0.827 0.838 0.414
25 O 0.846 0.075 0.031
26 O 0.846 0.425 0.531
27 O 0.923 0.186 0.758
28 O 0.923 0.314 0.258



Most stable: run A. Least stable: run B.



Run A
First-principles (GGA+U) data for an optimized crystal structure of CoSiO4, as listed in the Materials Project database.

- calculated density (g cm⁻³) = 2.44

Lattice parameters (Å, degrees): 10.138 7.530 5.374 90.00 90.00 90.00
Positions (direct):
1 Co 0.177 0.022 0.000
2 Co 0.323 0.522 0.500
3 Co 0.677 0.478 0.000
4 Co 0.823 0.978 0.500
5 Si 0.096 0.795 0.500
6 Si 0.404 0.295 0.000
7 Si 0.596 0.705 0.500
8 Si 0.904 0.205 0.000
9 O 0.065 0.206 0.963
10 O 0.132 0.852 0.787
11 O 0.158 0.599 0.447
12 O 0.161 0.942 0.310
13 O 0.339 0.442 0.810
14 O 0.342 0.099 0.947
15 O 0.368 0.352 0.287
16 O 0.435 0.706 0.463
17 O 0.565 0.294 0.963
18 O 0.632 0.648 0.787
19 O 0.658 0.901 0.447
20 O 0.661 0.558 0.310
21 O 0.839 0.058 0.810
22 O 0.842 0.401 0.947
23 O 0.868 0.148 0.287
24 O 0.935 0.794 0.463



Run B
First-principles (GGA+U) data for an optimized crystal structure of CoSiO4, as listed in the Materials Project database.

- calculated density (g cm⁻³) = 4.09

Lattice parameters (Å, degrees): 9.849 9.849 9.849 109.47 109.47 109.47
Positions (direct):
1 Co 0.125 0.250 0.375
2 Co 0.125 0.375 0.750
3 Co 0.250 0.375 0.125
4 Co 0.250 0.875 0.625
5 Co 0.375 0.125 0.250
6 Co 0.375 0.750 0.125
7 Co 0.625 0.250 0.875
8 Co 0.625 0.875 0.750
9 Co 0.750 0.125 0.375
10 Co 0.750 0.625 0.875
11 Co 0.875 0.625 0.250
12 Co 0.875 0.750 0.625
13 Si 0.125 0.750 0.875
14 Si 0.125 0.875 0.250
15 Si 0.250 0.125 0.875
16 Si 0.250 0.625 0.375
17 Si 0.375 0.250 0.625
18 Si 0.375 0.625 0.750
19 Si 0.625 0.375 0.250
20 Si 0.625 0.750 0.375
21 Si 0.750 0.375 0.625
22 Si 0.750 0.875 0.125
23 Si 0.875 0.125 0.750
24 Si 0.875 0.250 0.125
25 O 0.035 0.228 0.132
26 O 0.035 0.307 0.903
27 O 0.096 0.728 0.693
28 O 0.096 0.868 0.403
29 O 0.097 0.632 0.404
30 O 0.097 0.965 0.693
31 O 0.132 0.035 0.228
32 O 0.132 0.597 0.904
33 O 0.193 0.228 0.596
34 O 0.193 0.465 0.597
35 O 0.228 0.132 0.035
36 O 0.228 0.596 0.193
37 O 0.272 0.307 0.904
38 O 0.272 0.465 0.368
39 O 0.307 0.903 0.035
40 O 0.307 0.904 0.272
41 O 0.368 0.272 0.465
42 O 0.368 0.596 0.903
43 O 0.403 0.096 0.868
44 O 0.403 0.807 0.535
45 O 0.404 0.097 0.632
46 O 0.404 0.807 0.772
47 O 0.465 0.368 0.272
48 O 0.465 0.597 0.193
49 O 0.535 0.403 0.807
50 O 0.535 0.632 0.728
51 O 0.596 0.193 0.228
52 O 0.596 0.903 0.368
53 O 0.597 0.193 0.465
54 O 0.597 0.904 0.132
55 O 0.632 0.404 0.097
56 O 0.632 0.728 0.535
57 O 0.693 0.096 0.728
58 O 0.693 0.097 0.965
59 O 0.728 0.535 0.632
60 O 0.728 0.693 0.096
61 O 0.772 0.404 0.807
62 O 0.772 0.868 0.965
63 O 0.807 0.535 0.403
64 O 0.807 0.772 0.404
65 O 0.868 0.403 0.096
66 O 0.868 0.965 0.772
67 O 0.903 0.035 0.307
68 O 0.903 0.368 0.596
69 O 0.904 0.132 0.597
70 O 0.904 0.272 0.307
71 O 0.965 0.693 0.097
72 O 0.965 0.772 0.868



Most stable: run A. Least stable: run B.



Run A
First-principles (GGA+U) data for an optimized crystal structure of CoSi2O6, as listed in the Materials Project database.

- calculated density (g cm⁻³) = 2.76

Lattice parameters (Å, degrees): 5.105 18.472 10.791 90.00 90.00 90.00
Positions (direct):
1 Co 0.061 0.126 0.042
2 Co 0.061 0.374 0.542
3 Co 0.439 0.626 0.042
4 Co 0.439 0.874 0.542
5 Co 0.561 0.126 0.458
6 Co 0.561 0.374 0.958
7 Co 0.939 0.626 0.458
8 Co 0.939 0.874 0.958
9 Si 0.125 0.724 0.831
10 Si 0.125 0.776 0.331
11 Si 0.233 0.526 0.671
12 Si 0.233 0.974 0.171
13 Si 0.267 0.026 0.671
14 Si 0.267 0.474 0.171
15 Si 0.375 0.224 0.831
16 Si 0.375 0.276 0.331
17 Si 0.625 0.724 0.669
18 Si 0.625 0.776 0.169
19 Si 0.733 0.526 0.829
20 Si 0.733 0.974 0.329
21 Si 0.767 0.026 0.829
22 Si 0.767 0.474 0.329
23 Si 0.875 0.224 0.669
24 Si 0.875 0.276 0.169
25 O 0.029 0.545 0.783
26 O 0.029 0.955 0.283
27 O 0.124 0.690 0.367
28 O 0.124 0.810 0.867
29 O 0.163 0.575 0.549
30 O 0.163 0.925 0.049
31 O 0.168 0.205 0.720
32 O 0.168 0.295 0.220
33 O 0.204 0.676 0.954
34 O 0.204 0.824 0.454
35 O 0.222 0.061 0.138
36 O 0.222 0.439 0.638
37 O 0.278 0.561 0.138
38 O 0.278 0.939 0.638
39 O 0.296 0.176 0.954
40 O 0.296 0.324 0.454
41 O 0.332 0.705 0.720
42 O 0.332 0.795 0.220
43 O 0.337 0.075 0.549
44 O 0.337 0.425 0.049
45 O 0.376 0.190 0.367
46 O 0.376 0.310 0.867
47 O 0.471 0.045 0.783
48 O 0.471 0.455 0.283
49 O 0.529 0.545 0.717
50 O 0.529 0.955 0.217
51 O 0.624 0.690 0.133
52 O 0.624 0.810 0.633
53 O 0.663 0.575 0.951
54 O 0.663 0.925 0.451
55 O 0.668 0.205 0.780
56 O 0.668 0.295 0.280
57 O 0.704 0.676 0.546
58 O 0.704 0.824 0.046
59 O 0.722 0.061 0.362
60 O 0.722 0.439 0.862
61 O 0.778 0.561 0.362
62 O 0.778 0.939 0.862
63 O 0.796 0.176 0.546
64 O 0.796 0.324 0.046
65 O 0.832 0.705 0.780
66 O 0.832 0.795 0.280
67 O 0.837 0.075 0.951
68 O 0.837 0.425 0.451
69 O 0.876 0.190 0.133
70 O 0.876 0.310 0.633
71 O 0.971 0.045 0.717
72 O 0.971 0.455 0.217



Run B
First-principles (GGA+U) data for an optimized crystal structure of CoSi2O6, as listed in the Materials Project database.

- calculated density (g cm⁻³) = 3.43

Lattice parameters (Å, degrees): 6.399 6.399 5.336 104.70 104.70 84.26
Positions (direct):
1 Co 0.000 0.000 0.000
2 Co 0.806 0.194 0.500
3 Si 0.109 0.482 0.989
4 Si 0.288 0.314 0.497
5 Si 0.518 0.891 0.011
6 Si 0.686 0.712 0.503
7 O 0.085 0.142 0.394
8 O 0.250 0.462 0.282
9 O 0.266 0.457 0.788
10 O 0.278 0.010 0.974
11 O 0.525 0.191 0.532
12 O 0.538 0.750 0.718
13 O 0.543 0.734 0.212
14 O 0.713 0.069 0.128
15 O 0.809 0.475 0.468
16 O 0.858 0.915 0.606
17 O 0.931 0.287 0.872
18 O 0.990 0.722 0.026



Most stable: run A. Least stable: run B.